RbAs2Ir2 | r2SCAN | optimized geometry

The structure in extended XYZ format:
```
5
Lattice="6.616 -1.383 3.409 2.854 -5.591 4.231 -3.793 2.185 -6.175" Properties=species:S:1:pos:R:3 pbc="T T T"
Rb 0.000 0.000 0.000
As 3.303 -2.432 2.665
As 6.167 -4.541 4.975
Ir 3.779 -1.343 0.526
Ir 1.898 -3.446 0.937
```

Properties
Magnetization   0.00 μB/f.u.
Formation energy from the elements   -0.557 eV per atom
E   -1.1087 hartree per atom



InAgP2S6 | r2SCAN | optimized geometry

The structure in extended XYZ format:
```
20
Lattice="3.106 -5.379 0.000 3.106 5.379 0.000 0.000 0.000 13.520" Properties=species:S:1:pos:R:3 pbc="T T T"
In 0.000 0.000 3.380
In 0.000 0.000 10.140
Ag 3.106 -1.793 3.380
Ag 3.106 1.793 10.140
P 3.106 -1.793 9.022
P 3.106 -1.793 11.259
P 3.106 1.793 4.499
P 3.106 1.793 2.262
S 3.999 -3.521 11.827
S 2.056 -0.155 8.454
S 5.049 -1.703 8.454
S 2.212 -3.521 8.454
S 2.056 0.155 1.693
S 5.049 1.703 1.693
S 2.212 3.521 1.693
S 4.155 0.155 5.067
S 1.163 1.703 5.067
S 3.999 3.521 5.067
S 4.155 -0.155 11.827
S 1.163 -1.703 11.827
```

Properties
Magnetization   0.00 μB/f.u.
Formation energy from the elements   -0.426 eV per atom
E   -0.4204 hartree per atom



Cs | r2SCAN | optimized geometry

The structure in extended XYZ format:
```
20
Lattice="13.615 0.000 0.000 0.000 13.615 0.000 0.000 0.000 13.615" Properties=species:S:1:pos:R:3 pbc="T T T"
Cs 11.913 9.580 0.631
Cs 0.845 0.845 0.845
Cs 2.772 6.176 1.702
Cs 11.056 4.248 2.559
Cs 6.176 1.702 2.772
Cs 7.439 8.510 4.035
Cs 2.559 11.056 4.248
Cs 10.843 12.984 5.106
Cs 12.771 7.652 5.963
Cs 1.702 2.772 6.176
Cs 8.510 4.035 7.439
Cs 5.963 12.771 7.652
Cs 4.035 7.439 8.510
Cs 9.367 9.367 9.367
Cs 0.631 11.913 9.580
Cs 12.984 5.106 10.843
Cs 4.248 2.559 11.056
Cs 9.580 0.631 11.913
Cs 7.652 5.963 12.771
Cs 5.106 10.843 12.984
```

Properties
Distance to the lowest polymorph of the same formula   0.013 eV/f.u.
Magnetization   0.05 μB/f.u.
Formation energy from the elements   0.013 eV per atom
E   -0.9222 hartree per atom



Y2As7Rh12 | r2SCAN | optimized geometry

The structure in extended XYZ format:
```
21
Lattice="4.944 -8.563 0.000 4.944 8.563 0.000 0.000 0.000 3.911" Properties=species:S:1:pos:R:3 pbc="T T T"
Y 4.944 2.854 2.969
Y 0.000 0.000 0.980
As 4.944 -2.855 1.974
As 5.780 -6.327 2.954
As 7.533 -0.394 2.953
As 1.519 -1.843 2.954
As 4.108 0.617 0.996
As 7.299 3.250 0.996
As 3.424 4.697 0.996
Rh 8.329 1.872 2.947
Rh 4.102 6.277 2.948
Rh 2.402 0.414 2.947
Rh 6.504 0.983 1.002
Rh 5.785 5.141 1.002
Rh 2.544 2.439 1.002
Rh 6.811 -4.136 2.973
Rh 5.120 -0.597 2.973
Rh 2.901 -3.830 2.973
Rh 3.077 -1.574 0.976
Rh 4.769 -5.112 0.976
Rh 6.986 -1.877 0.976
```

Properties
Magnetization   0.00 μB/f.u.
Formation energy from the elements   -0.763 eV per atom
E   -0.7861 hartree per atom